(1)
# SiC

A relaxed structure of SiC (PBE, Materials Project).

Results
The calculated density is 3172 kg/m³. The formation enthalpy at 0 K is -0.20 eV/atom. The value obtained for the energy above the most stable polymorph in this dataset is 0 meV per atom. As for the calculated volume: 10.50 Å³ per atom.

Cell: 3.0944 3.0944 48.0996 Å, 90.00 90.00 120.00°
Space group P3m1 (No. 156)
Unique sites:
Si 0.0000 0.0000 0.0000 [1 per cell]
Si 0.0000 0.0000 0.1053 [1 per cell]
Si 0.0000 0.0000 0.2106 [1 per cell]
Si 0.0000 0.0000 0.3158 [1 per cell]
Si 0.0000 0.0000 0.4211 [1 per cell]
Si 0.0000 0.0000 0.6316 [1 per cell]
Si 0.0000 0.0000 0.7895 [1 per cell]
Si 0.3333 0.6667 0.0527 [1 per cell]
Si 0.3333 0.6667 0.2632 [1 per cell]
Si 0.3333 0.6667 0.4737 [1 per cell]
Si 0.3333 0.6667 0.5790 [1 per cell]
Si 0.3333 0.6667 0.6843 [1 per cell]
Si 0.3333 0.6667 0.8948 [1 per cell]
Si 0.6667 0.3333 0.1579 [1 per cell]
Si 0.6667 0.3333 0.3685 [1 per cell]
Si 0.6667 0.3333 0.5263 [1 per cell]
Si 0.6667 0.3333 0.7368 [1 per cell]
Si 0.6667 0.3333 0.8421 [1 per cell]
Si 0.6667 0.3333 0.9474 [1 per cell]
C 0.0000 0.0000 0.0395 [1 per cell]
C 0.0000 0.0000 0.1447 [1 per cell]
C 0.0000 0.0000 0.2500 [1 per cell]
C 0.0000 0.0000 0.3553 [1 per cell]
C 0.0000 0.0000 0.4606 [1 per cell]
C 0.0000 0.0000 0.6712 [1 per cell]
C 0.0000 0.0000 0.8291 [1 per cell]
C 0.3333 0.6667 0.0922 [1 per cell]
C 0.3333 0.6667 0.3028 [1 per cell]
C 0.3333 0.6667 0.5132 [1 per cell]
C 0.3333 0.6667 0.6184 [1 per cell]
C 0.3333 0.6667 0.7237 [1 per cell]
C 0.3333 0.6667 0.9344 [1 per cell]
C 0.6667 0.3333 0.1975 [1 per cell]
C 0.6667 0.3333 0.4081 [1 per cell]
C 0.6667 0.3333 0.5659 [1 per cell]
C 0.6667 0.3333 0.7763 [1 per cell]
C 0.6667 0.3333 0.8816 [1 per cell]
C 0.6667 0.3333 0.9869 [1 per cell]

=====

(2)
# SrU2As2H8O12

A relaxed structure of SrU2As2H8O12 (PBE, Materials Project).

Results
The value obtained for the magnetization is 16.0 μB per cell. The calculated density is 3627 kg/m³. The formation enthalpy at 0 K is -1.17 eV/atom. The calculation puts the total energy after the MP2020 corrections at -5.98 eV/atom. As for the calculated volume: 16.73 Å³ per atom.

Cell: 7.3459 7.2936 15.7049 Å, 90.00 96.24 90.00°
Space group Pc (No. 7)
Unique sites:
Sr 0.0000 0.1767 0.0000 [2 per cell]
U 0.2541 0.2525 0.8064 [2 per cell]
U 0.7429 0.2547 0.1930 [2 per cell]
As 0.2453 0.2450 0.2439 [2 per cell]
As 0.7525 0.2429 0.7556 [2 per cell]
H 0.1047 0.1377 0.4176 [2 per cell]
H 0.1273 0.4914 0.0819 [2 per cell]
H 0.3432 0.0710 0.0680 [2 per cell]
H 0.4677 0.3378 0.5844 [2 per cell]
H 0.5449 0.3029 0.4162 [2 per cell]
H 0.6548 0.1002 0.9347 [2 per cell]
H 0.8861 0.4968 0.4201 [2 per cell]
H 0.9255 0.1191 0.5953 [2 per cell]
O 0.0545 0.2392 0.1680 [2 per cell]
O 0.2140 0.2477 0.6900 [2 per cell]
O 0.2392 0.0587 0.3106 [2 per cell]
O 0.2419 0.4396 0.3048 [2 per cell]
O 0.2729 0.2516 0.9253 [2 per cell]
O 0.4354 0.2396 0.1894 [2 per cell]
O 0.5615 0.2375 0.8094 [2 per cell]
O 0.7257 0.2549 0.0740 [2 per cell]
O 0.7567 0.4379 0.6952 [2 per cell]
O 0.7583 0.0573 0.6884 [2 per cell]
O 0.7835 0.2486 0.3091 [2 per cell]
O 0.9428 0.2370 0.8318 [2 per cell]